No. 1
## CrAgS2 (PBE-GGA)

Data for CrAgS2 after structural relaxation.

a b c (Å): 3.543 8.717 9.974
angles (deg): 84.40 100.18 78.23
Atoms (fractional coordinates):
1 Cr 0.497 0.503 0.496
2 Cr 0.253 0.248 0.754
3 Cr 0.997 0.003 0.996
4 Cr 0.753 0.748 0.254
5 Ag 0.966 0.263 0.193
6 Ag 0.709 0.024 0.441
7 Ag 0.466 0.764 0.693
8 Ag 0.209 0.524 0.941
9 S 0.934 0.472 0.339
10 S 0.683 0.229 0.593
11 S 0.434 0.972 0.839
12 S 0.182 0.729 0.092
13 S 0.567 0.028 0.162
14 S 0.315 0.786 0.416
15 S 0.067 0.528 0.662
16 S 0.815 0.286 0.916

Values from the calculation:
- ΔE_f (eV per formula unit) = -2.92
- energy (eV/f.u.) = -22.675

No. 2
## Cr2AgS4 (PBE-GGA)

Data for Cr2AgS4 after structural relaxation.

a b c (Å): 3.486 11.073 12.583
angles (deg): 90.00 90.00 90.00
Atoms (fractional coordinates):
1 Cr 0.250 0.058 0.117
2 Cr 0.750 0.942 0.883
3 Cr 0.750 0.442 0.617
4 Cr 0.250 0.558 0.383
5 Cr 0.250 0.087 0.597
6 Cr 0.750 0.913 0.403
7 Cr 0.750 0.413 0.097
8 Cr 0.250 0.587 0.903
9 Ag 0.250 0.246 0.330
10 Ag 0.750 0.754 0.670
11 Ag 0.750 0.254 0.830
12 Ag 0.250 0.746 0.170
13 S 0.750 0.036 0.713
14 S 0.250 0.964 0.287
15 S 0.250 0.464 0.213
16 S 0.750 0.536 0.787
17 S 0.250 0.082 0.931
18 S 0.750 0.918 0.069
19 S 0.750 0.418 0.431
20 S 0.250 0.582 0.569
21 S 0.750 0.115 0.469
22 S 0.250 0.885 0.531
23 S 0.250 0.385 0.969
24 S 0.750 0.615 0.031
25 S 0.750 0.200 0.153
26 S 0.250 0.800 0.847
27 S 0.250 0.300 0.653
28 S 0.750 0.700 0.347

Values from the calculation:
- ΔE_f (eV per formula unit) = -5.10
- symmetry = Pnma
- energy (eV/f.u.) = -41.776
- crystal system = orthorhombic

No. 3
## Cr2AgS4 (PBE-GGA)

Data for Cr2AgS4 after structural relaxation.

a b c (Å): 7.201 7.201 7.201
angles (deg): 60.00 60.00 60.00
Atoms (fractional coordinates):
1 Cr 0.125 0.125 0.125
2 Cr 0.625 0.125 0.125
3 Cr 0.125 0.625 0.125
4 Cr 0.125 0.125 0.625
5 Ag 0.500 0.500 0.500
6 Ag 0.750 0.750 0.750
7 S 0.360 0.360 0.360
8 S 0.330 0.890 0.890
9 S 0.890 0.890 0.330
10 S 0.890 0.330 0.890
11 S 0.360 0.360 0.920
12 S 0.360 0.920 0.360
13 S 0.890 0.890 0.890
14 S 0.920 0.360 0.360

Values from the calculation:
- ΔE_f (eV per formula unit) = -5.85
- symmetry = Fd-3m
- energy (eV/f.u.) = -42.521
- crystal system = cubic

No. 4
## CrAgS2 (PBE-GGA)

Data for CrAgS2 after structural relaxation.

a b c (Å): 3.537 3.537 13.797
angles (deg): 82.47 97.53 119.90
Atoms (fractional coordinates):
1 Cr 0.499 0.501 0.499
2 Cr 0.999 0.001 0.999
3 Ag 0.076 0.924 0.230
4 Ag 0.576 0.424 0.730
5 S 0.135 0.865 0.409
6 S 0.635 0.365 0.909
7 S 0.367 0.633 0.098
8 S 0.867 0.133 0.598

Values from the calculation:
- ΔE_f (eV per formula unit) = -2.91
- energy (eV/f.u.) = -22.662
- maximum piezoelectric response (C/m²) = 0.91

No. 5
## Cr2AgS4 (PBE-GGA)

Data for Cr2AgS4 after structural relaxation.

a b c (Å): 7.121 7.121 5.907
angles (deg): 66.80 66.80 28.27
Atoms (fractional coordinates):
1 Cr 0.759 0.759 0.223
2 Cr 0.241 0.241 0.777
3 Ag 0.500 0.500 0.500
4 S 0.362 0.362 0.974
5 S 0.638 0.638 0.026
6 S 0.847 0.847 0.496
7 S 0.153 0.153 0.504

Values from the calculation:
- ΔE_f (eV per formula unit) = -5.59
- symmetry = C2/m
- energy (eV/f.u.) = -42.263
- crystal system = monoclinic

No. 6
## CrAgSnSe2S2 (PBE-GGA)

Data for CrAgSnSe2S2 after structural relaxation.

a b c (Å): 7.675 7.675 7.675
angles (deg): 120.63 119.10 90.24
Atoms (fractional coordinates):
1 Cr 0.370 0.630 0.259
2 Cr 0.370 0.111 0.741
3 Ag 0.758 0.258 0.500
4 Ag 0.994 0.994 0.000
5 Sn 0.887 0.630 0.257
6 Sn 0.372 0.630 0.743
7 Se 0.605 0.363 0.758
8 Se 0.605 0.848 0.242
9 Se 0.163 0.378 0.785
10 Se 0.593 0.378 0.215
11 S 0.146 0.884 0.738
12 S 0.146 0.408 0.262
13 S 0.581 0.870 0.712
14 S 0.158 0.870 0.288

Values from the calculation:
- ΔE_f (eV per formula unit) = -3.95
- symmetry = Imm2
- energy (eV/f.u.) = -34.708
- crystal system = orthorhombic

No. 7
## TaCr3Ag2S8 (PBE-GGA)

Data for TaCr3Ag2S8 after structural relaxation.

a b c (Å): 11.938 3.483 12.242
angles (deg): 90.00 90.00 90.00
Atoms (fractional coordinates):
1 Ta 0.848 0.750 0.284
2 Ta 0.652 0.250 0.784
3 Cr 0.108 0.250 0.078
4 Cr 0.897 0.750 0.924
5 Cr 0.392 0.750 0.578
6 Cr 0.603 0.250 0.424
7 Cr 0.158 0.250 0.704
8 Cr 0.342 0.750 0.204
9 Ag 0.145 0.750 0.414
10 Ag 0.877 0.250 0.588
11 Ag 0.355 0.250 0.914
12 Ag 0.623 0.750 0.088
13 S 0.054 0.750 0.617
14 S 0.953 0.250 0.376
15 S 0.446 0.250 0.117
16 S 0.547 0.750 0.876
17 S 0.033 0.250 0.888
18 S 0.962 0.750 0.119
19 S 0.467 0.750 0.388
20 S 0.538 0.250 0.619
21 S 0.207 0.250 0.252
22 S 0.798 0.750 0.749
23 S 0.293 0.750 0.752
24 S 0.702 0.250 0.249
25 S 0.232 0.750 0.042
26 S 0.764 0.250 0.965
27 S 0.268 0.250 0.542
28 S 0.736 0.750 0.465

Values from the calculation:
- ΔE_f (eV per formula unit) = -11.13
- symmetry = Pmn2_1
- energy (eV/f.u.) = -86.685
- crystal system = orthorhombic

No. 8
## TaCr3Ag2S8 (PBE-GGA)

Data for TaCr3Ag2S8 after structural relaxation.

a b c (Å): 6.024 6.928 14.958
angles (deg): 62.37 90.00 90.00
Atoms (fractional coordinates):
1 Ta 0.500 0.000 0.500
2 Ta 0.500 0.000 0.000
3 Cr 0.001 0.249 0.502
4 Cr 0.001 0.751 0.998
5 Cr 0.999 0.751 0.498
6 Cr 0.999 0.249 0.002
7 Cr 0.500 0.500 0.500
8 Cr 0.500 0.500 0.000
9 Ag 0.659 0.000 0.750
10 Ag 0.341 0.000 0.250
11 Ag 0.979 0.500 0.250
12 Ag 0.021 0.500 0.750
13 S 0.161 0.105 0.394
14 S 0.161 0.895 0.106
15 S 0.832 0.397 0.601
16 S 0.832 0.603 0.899
17 S 0.839 0.895 0.606
18 S 0.839 0.105 0.894
19 S 0.168 0.603 0.399
20 S 0.168 0.397 0.101
21 S 0.334 0.151 0.604
22 S 0.334 0.849 0.896
23 S 0.666 0.849 0.396
24 S 0.666 0.151 0.104
25 S 0.670 0.358 0.397
26 S 0.670 0.642 0.103
27 S 0.330 0.642 0.603
28 S 0.330 0.358 0.897

Values from the calculation:
- ΔE_f (eV per formula unit) = -12.39
- symmetry = P2/c
- energy (eV/f.u.) = -87.937
- crystal system = monoclinic

No. 9
## TaCr3Ag2S8 (PBE-GGA)

Data for TaCr3Ag2S8 after structural relaxation.

a b c (Å): 13.301 6.030 6.937
angles (deg): 89.73 90.00 90.00
Atoms (fractional coordinates):
1 Ta 0.500 0.500 0.000
2 Ta 0.000 0.500 0.000
3 Cr 0.498 0.001 0.750
4 Cr 0.002 0.001 0.750
5 Cr 0.502 0.999 0.250
6 Cr 0.998 0.999 0.250
7 Cr 0.000 0.500 0.500
8 Cr 0.500 0.500 0.500
9 Ag 0.250 0.659 0.735
10 Ag 0.750 0.341 0.265
11 Ag 0.750 0.979 0.737
12 Ag 0.250 0.021 0.263
13 S 0.606 0.162 0.001
14 S 0.901 0.168 0.497
15 S 0.401 0.832 0.503
16 S 0.106 0.838 0.999
17 S 0.394 0.838 0.999
18 S 0.099 0.832 0.503
19 S 0.599 0.168 0.497
20 S 0.894 0.162 0.001
21 S 0.396 0.334 0.746
22 S 0.104 0.334 0.746
23 S 0.604 0.666 0.254
24 S 0.896 0.666 0.254
25 S 0.603 0.671 0.745
26 S 0.897 0.671 0.745
27 S 0.397 0.329 0.255
28 S 0.103 0.329 0.255

Values from the calculation:
- ΔE_f (eV per formula unit) = -12.41
- symmetry = P2_1/m
- energy (eV/f.u.) = -87.961
- crystal system = monoclinic

No. 10
## TaCr3Ag2S8 (PBE-GGA)

Data for TaCr3Ag2S8 after structural relaxation.

a b c (Å): 3.461 5.936 12.867
angles (deg): 88.41 90.00 90.00
Atoms (fractional coordinates):
1 Ta 0.500 0.528 0.252
2 Cr 0.000 0.018 0.758
3 Cr 0.000 0.972 0.247
4 Cr 0.500 0.484 0.743
5 Ag 0.500 0.505 0.994
6 Ag 0.000 0.010 0.506
7 S 0.500 0.163 0.860
8 S 0.500 0.847 0.132
9 S 0.000 0.657 0.371
10 S 0.000 0.341 0.640
11 S 0.000 0.659 0.847
12 S 0.000 0.325 0.146
13 S 0.500 0.147 0.349
14 S 0.500 0.844 0.654

Values from the calculation:
- ΔE_f (eV per formula unit) = -12.37
- symmetry = Pm
- energy (eV/f.u.) = -87.922
- crystal system = monoclinic

No. 11
## TaCr3Ag2S8 (PBE-GGA)

Data for TaCr3Ag2S8 after structural relaxation.

a b c (Å): 3.467 11.155 13.051
angles (deg): 90.00 90.00 90.00
Atoms (fractional coordinates):
1 Ta 0.000 0.836 0.597
2 Ta 0.500 0.164 0.097
3 Cr 0.500 0.687 0.893
4 Cr 0.000 0.800 0.112
5 Cr 0.000 0.313 0.393
6 Cr 0.500 0.200 0.612
7 Cr 0.500 0.664 0.401
8 Cr 0.000 0.336 0.901
9 Ag 0.500 0.497 0.674
10 Ag 0.000 0.999 0.330
11 Ag 0.000 0.503 0.174
12 Ag 0.500 0.001 0.830
13 S 0.000 0.722 0.287
14 S 0.500 0.772 0.717
15 S 0.500 0.278 0.787
16 S 0.000 0.228 0.217
17 S 0.500 0.663 0.071
18 S 0.000 0.831 0.931
19 S 0.000 0.337 0.571
20 S 0.500 0.169 0.431
21 S 0.000 0.629 0.526
22 S 0.500 0.870 0.464
23 S 0.500 0.371 0.026
24 S 0.000 0.130 0.964
25 S 0.000 0.546 0.847
26 S 0.500 0.953 0.148
27 S 0.500 0.454 0.347
28 S 0.000 0.047 0.648

Values from the calculation:
- ΔE_f (eV per formula unit) = -11.41
- symmetry = Pmn2_1
- energy (eV/f.u.) = -86.960
- crystal system = orthorhombic

No. 12
## TaCr3Ag2S8 (PBE-GGA)

Data for TaCr3Ag2S8 after structural relaxation.

a b c (Å): 7.236 7.337 10.295
angles (deg): 90.00 90.00 90.00
Atoms (fractional coordinates):
1 Ta 0.500 0.791 0.250
2 Ta 0.500 0.209 0.750
3 Cr 0.735 0.000 0.500
4 Cr 0.741 0.500 0.500
5 Cr 0.259 0.500 0.000
6 Cr 0.000 0.759 0.250
7 Cr 0.265 0.000 0.000
8 Cr 0.000 0.241 0.750
9 Ag 0.774 0.718 0.881
10 Ag 0.226 0.282 0.381
11 Ag 0.226 0.718 0.619
12 Ag 0.774 0.282 0.119
13 S 0.757 0.999 0.262
14 S 0.514 0.749 0.486
15 S 0.748 0.543 0.265
16 S 0.486 0.251 0.986
17 S 0.252 0.543 0.235
18 S 0.047 0.755 0.017
19 S 0.243 0.999 0.238
20 S 0.486 0.749 0.014
21 S 0.252 0.457 0.765
22 S 0.047 0.245 0.983
23 S 0.243 0.001 0.762
24 S 0.953 0.755 0.483
25 S 0.757 0.001 0.738
26 S 0.514 0.251 0.514
27 S 0.748 0.457 0.735
28 S 0.953 0.245 0.517

Values from the calculation:
- ΔE_f (eV per formula unit) = -12.86
- symmetry = P222_1
- energy (eV/f.u.) = -88.413
- crystal system = orthorhombic

No. 13
## TaCr3Ag2S8 (PBE-GGA)

Data for TaCr3Ag2S8 after structural relaxation.

a b c (Å): 11.846 3.478 12.244
angles (deg): 90.00 90.00 90.00
Atoms (fractional coordinates):
1 Ta 0.154 0.250 0.714
2 Ta 0.654 0.250 0.786
3 Cr 0.104 0.250 0.083
4 Cr 0.895 0.750 0.931
5 Cr 0.395 0.750 0.569
6 Cr 0.604 0.250 0.417
7 Cr 0.845 0.750 0.294
8 Cr 0.345 0.750 0.206
9 Ag 0.130 0.750 0.398
10 Ag 0.859 0.250 0.573
11 Ag 0.359 0.250 0.927
12 Ag 0.630 0.750 0.102
13 S 0.049 0.750 0.622
14 S 0.952 0.250 0.377
15 S 0.452 0.250 0.123
16 S 0.549 0.750 0.878
17 S 0.036 0.250 0.881
18 S 0.966 0.750 0.116
19 S 0.466 0.750 0.384
20 S 0.536 0.250 0.619
21 S 0.211 0.250 0.248
22 S 0.798 0.750 0.745
23 S 0.298 0.750 0.755
24 S 0.711 0.250 0.252
25 S 0.233 0.750 0.043
26 S 0.767 0.250 0.967
27 S 0.267 0.250 0.533
28 S 0.733 0.750 0.457

Values from the calculation:
- ΔE_f (eV per formula unit) = -11.14
- symmetry = Pmc2_1
- energy (eV/f.u.) = -86.693
- crystal system = orthorhombic

No. 14
## TaCr3Ag2S8 (PBE-GGA)

Data for TaCr3Ag2S8 after structural relaxation.

a b c (Å): 7.244 7.413 10.153
angles (deg): 90.00 90.00 90.00
Atoms (fractional coordinates):
1 Ta 0.000 0.469 0.500
2 Ta 0.500 0.531 0.500
3 Cr 0.256 0.754 0.249
4 Cr 0.744 0.754 0.751
5 Cr 0.244 0.246 0.249
6 Cr 0.756 0.246 0.751
7 Cr 0.000 0.996 0.000
8 Cr 0.500 0.004 0.000
9 Ag 0.750 0.000 0.364
10 Ag 0.750 0.500 0.109
11 Ag 0.250 0.000 0.636
12 Ag 0.250 0.500 0.891
13 S 0.746 0.784 0.984
14 S 0.240 0.730 0.493
15 S 0.740 0.270 0.507
16 S 0.246 0.216 0.016
17 S 0.036 0.996 0.237
18 S 0.973 0.504 0.740
19 S 0.536 0.004 0.763
20 S 0.473 0.496 0.260
21 S 0.260 0.270 0.493
22 S 0.754 0.216 0.984
23 S 0.254 0.784 0.016
24 S 0.760 0.730 0.507
25 S 0.527 0.496 0.740
26 S 0.464 0.004 0.237
27 S 0.027 0.504 0.260
28 S 0.964 0.996 0.763

Values from the calculation:
- ΔE_f (eV per formula unit) = -12.83
- symmetry = P222_1
- energy (eV/f.u.) = -88.376
- crystal system = orthorhombic

No. 15
## TaCr3Ag2S8 (PBE-GGA)

Data for TaCr3Ag2S8 after structural relaxation.

a b c (Å): 7.199 7.199 7.199
angles (deg): 61.62 61.62 61.62
Atoms (fractional coordinates):
1 Ta 0.500 0.500 0.500
2 Cr 0.500 0.000 0.500
3 Cr 0.500 0.500 0.000
4 Cr 0.000 0.500 0.500
5 Ag 0.126 0.126 0.126
6 Ag 0.874 0.874 0.874
7 S 0.260 0.712 0.260
8 S 0.740 0.740 0.288
9 S 0.288 0.740 0.740
10 S 0.733 0.733 0.733
11 S 0.712 0.260 0.260
12 S 0.267 0.267 0.267
13 S 0.740 0.288 0.740
14 S 0.260 0.260 0.712

Values from the calculation:
- ΔE_f (eV per formula unit) = -12.86
- symmetry = R-3m
- energy (eV/f.u.) = -88.410
- crystal system = trigonal